Entry 1:
Material: Li3Tl2Cd
Method: DFT, meta-GGA r2SCAN
State: relaxed

abc: 3.379 3.379 10.230
angles: 90.00 90.00 90.00
Positions (direct):
1 Li 0.000 0.000 0.000
2 Li 0.000 0.000 0.339
3 Li 0.000 0.000 0.661
4 Tl 0.500 0.500 0.175
5 Tl 0.500 0.500 0.825
6 Cd 0.500 0.500 0.500

Results
V: 117 Å³/f.u.
calculated formation energy: -0.275 eV/atom

=====

Entry 2:
Material: Li2TlCd
Method: DFT, meta-GGA r2SCAN
State: relaxed

abc: 4.792 4.792 4.792
angles: 60.00 60.00 60.00
Positions (direct):
1 Li 0.000 0.000 0.000
2 Li 0.250 0.250 0.250
3 Tl 0.750 0.750 0.750
4 Cd 0.500 0.500 0.500

Results
V: 78 Å³/f.u.
calculated formation energy: -0.273 eV/atom

=====

Entry 3:
Material: Li4ZnCd3
Method: DFT, meta-GGA r2SCAN
State: relaxed

abc: 8.005 8.005 8.005
angles: 33.50 33.50 33.50
Positions (direct):
1 Li 0.000 0.000 0.000
2 Li 0.123 0.123 0.123
3 Li 0.501 0.501 0.501
4 Li 0.629 0.629 0.629
5 Zn 0.750 0.750 0.750
6 Cd 0.251 0.251 0.251
7 Cd 0.379 0.379 0.379
8 Cd 0.871 0.871 0.871

Results
V: 139 Å³/f.u.
calculated formation energy: -0.250 eV/atom

=====

Entry 4:
Material: LuCd3
Method: DFT, meta-GGA r2SCAN
State: relaxed

abc: 6.358 6.358 4.774
angles: 90.00 90.00 111.58
Positions (direct):
1 Lu 0.128 0.872 0.750
2 Lu 0.872 0.128 0.250
3 Cd 0.189 0.383 0.750
4 Cd 0.321 0.679 0.250
5 Cd 0.383 0.189 0.250
6 Cd 0.617 0.811 0.750
7 Cd 0.679 0.321 0.750
8 Cd 0.811 0.617 0.250

Results
V: 90 Å³/f.u.
calculated formation energy: -0.267 eV/atom

=====

> What is the calculated formation energy in the first record?

-0.275 eV/atom

=====

> Which value of V does entry 4 give?

90 Å³/f.u.